Record 1
Here is a geometry-optimized CdH24C4Br6N12 structure from the Materials Project database. Energies are from GGA-PBE.

Results
As for the MP2020-corrected energy: -5.38 eV/atom. As for the space-group type: No. 14. Its formation energy is -501.0 meV/atom.

Cell: 19.7018 8.3621 15.1732 Å, 76.83 90.00 90.00°
Positions (direct):
H 0.9411 0.2580 0.5030
H 0.3063 0.8632 0.7227
H 0.8115 0.8342 0.4618
H 0.6685 0.5128 0.4624
H 0.0279 0.0266 0.8882
H 0.1667 0.4112 0.9866
H 0.3315 0.4872 0.5376
H 0.9770 0.4565 0.7272
H 0.9939 0.1677 0.4344
H 0.2283 0.0595 0.9514
H 0.9107 0.5219 0.4610
H 0.1828 0.2126 0.8083
H 0.0893 0.4781 0.5390
H 0.8305 0.3005 0.2216
H 0.0605 0.9078 0.9903
H 0.4873 0.0936 0.3965
H 0.8172 0.7874 0.1917
H 0.2139 0.5543 0.2418
H 0.7685 0.7531 0.3795
H 0.4770 0.0435 0.7728
H 0.0504 0.3395 0.6286
H 0.2368 0.7552 0.6194
H 0.0127 0.5936 0.8965
H 0.7861 0.4457 0.7582
H 0.7717 0.9405 0.0486
H 0.5504 0.1605 0.8714
H 0.5520 0.0658 0.5225
H 0.6088 0.3710 0.7265
H 0.9176 0.2679 0.2313
H 0.0824 0.7321 0.7687
H 0.9395 0.0922 0.0097
H 0.6667 0.0888 0.5134
H 0.0482 0.3409 0.3115
H 0.2717 0.5595 0.4514
H 0.2861 0.0543 0.7418
H 0.2632 0.2552 0.1194
H 0.7826 0.4955 0.1057
H 0.2174 0.5045 0.8943
H 0.5893 0.0219 0.9610
H 0.8315 0.0128 0.9624
H 0.7632 0.2448 0.3806
H 0.7174 0.9955 0.6057
H 0.3024 0.4005 0.0326
H 0.1885 0.1658 0.5382
H 0.2685 0.7469 0.1205
H 0.5279 0.4734 0.6118
H 0.8063 0.6368 0.7773
H 0.7315 0.2531 0.8795
H 0.0520 0.4342 0.9775
H 0.3912 0.6290 0.2735
H 0.5127 0.9064 0.6035
H 0.0230 0.5435 0.2728
H 0.4721 0.5266 0.3882
H 0.4939 0.3323 0.0656
H 0.5824 0.7679 0.7313
H 0.8333 0.5888 0.0134
H 0.1685 0.9872 0.0376
H 0.5589 0.7580 0.0030
H 0.1088 0.1290 0.7735
H 0.8912 0.8710 0.2265
H 0.2826 0.0045 0.3943
H 0.5482 0.1591 0.1885
H 0.4496 0.8395 0.1286
H 0.4518 0.8409 0.8115
H 0.9518 0.6591 0.6885
H 0.2315 0.2469 0.6205
H 0.7368 0.7448 0.8806
H 0.9480 0.5658 0.0225
H 0.3172 0.7126 0.3083
H 0.7139 0.9457 0.2582
H 0.3305 0.1995 0.2784
H 0.4395 0.4078 0.4903
H 0.3115 0.6658 0.0382
H 0.1695 0.6995 0.7784
H 0.4107 0.9781 0.0390
H 0.9873 0.4064 0.1035
H 0.4176 0.2321 0.2687
H 0.4480 0.9342 0.4775
H 0.4411 0.2420 0.9970
H 0.5061 0.6677 0.9344
H 0.0589 0.7420 0.4970
H 0.1976 0.9005 0.5326
H 0.5230 0.9565 0.2272
H 0.9721 0.9734 0.1118
H 0.9496 0.6605 0.3714
H 0.6976 0.5995 0.9674
H 0.6695 0.8005 0.7216
H 0.5605 0.5922 0.5097
H 0.3333 0.9112 0.4866
H 0.6937 0.1368 0.2773
H 0.7283 0.4405 0.5486
H 0.8024 0.0995 0.4674
H 0.6828 0.2874 0.6917
H 0.1937 0.3632 0.2227
H 0.0061 0.8323 0.5656
H 0.6885 0.3342 0.9618
N 0.6226 0.8234 0.6947
N 0.2747 0.9629 0.7100
N 0.7747 0.5371 0.7900
N 0.8203 0.9750 0.0295
N 0.1226 0.6766 0.8053
N 0.8287 0.5081 0.0746
N 0.9712 0.2694 0.4472
N 0.7273 0.6241 0.9110
N 0.6429 0.3663 0.6764
N 0.7842 0.8529 0.4029
N 0.1797 0.0250 0.9705
N 0.3287 0.9919 0.4254
N 0.4385 0.9586 0.0972
N 0.6713 0.0081 0.5746
N 0.2253 0.4629 0.2100
N 0.2727 0.3759 0.0890
N 0.5686 0.5158 0.5716
N 0.9385 0.5414 0.4028
N 0.8571 0.8663 0.1764
N 0.5288 0.7694 0.9472
N 0.4868 0.9302 0.8132
N 0.3571 0.6337 0.3236
N 0.0615 0.4586 0.5972
N 0.4447 0.0294 0.4221
N 0.7727 0.1241 0.4110
N 0.1429 0.1337 0.8236
N 0.9314 0.0158 0.0716
N 0.0553 0.5294 0.9221
N 0.7158 0.3529 0.9029
N 0.9447 0.4706 0.0779
N 0.9868 0.5698 0.6868
N 0.0686 0.9842 0.9284
N 0.1713 0.4919 0.9254
N 0.4712 0.2306 0.0528
N 0.3774 0.1766 0.3053
N 0.7253 0.0371 0.2900
N 0.2158 0.1471 0.5971
N 0.4314 0.4842 0.4284
N 0.8774 0.3234 0.1947
N 0.5615 0.0414 0.9028
N 0.0132 0.4302 0.3132
N 0.5553 0.9706 0.5779
N 0.6797 0.4750 0.5295
N 0.3203 0.5250 0.4705
N 0.5132 0.0698 0.1868
N 0.0288 0.7306 0.5528
N 0.2273 0.8759 0.5890
N 0.2842 0.6471 0.0971
C 0.0248 0.5853 0.6119
C 0.4752 0.0853 0.1119
C 0.6304 0.4513 0.5919
C 0.8840 0.4339 0.1161
C 0.6160 0.9339 0.6161
C 0.8696 0.9513 0.0919
C 0.1304 0.0487 0.9081
C 0.9752 0.4147 0.3881
C 0.1160 0.5661 0.8839
C 0.7600 0.0035 0.3682
C 0.7400 0.5035 0.8682
C 0.2400 0.9965 0.6318
C 0.5248 0.9147 0.8881
C 0.3696 0.5487 0.4081
C 0.2600 0.4965 0.1318
C 0.3840 0.0661 0.3839
Cd 0.3847 0.4454 0.7661
Cd 0.1153 0.9454 0.2661
Cd 0.8847 0.0546 0.7339
Cd 0.6153 0.5546 0.2339
Br 0.9089 0.7550 0.8724
Br 0.3442 0.1620 0.9018
Br 0.8520 0.8576 0.6143
Br 0.0911 0.2450 0.1276
Br 0.6480 0.3576 0.1143
Br 0.5911 0.2550 0.3724
Br 0.6558 0.8380 0.0982
Br 0.3520 0.6424 0.8857
Br 0.4776 0.5501 0.1749
Br 0.1480 0.1424 0.3857
Br 0.8442 0.3380 0.5982
Br 0.5765 0.7429 0.3514
Br 0.0224 0.0501 0.6749
Br 0.2479 0.4631 0.7012
Br 0.7521 0.5369 0.2988
Br 0.7479 0.0369 0.7988
Br 0.9235 0.2429 0.8514
Br 0.4235 0.2571 0.6486
Br 0.1558 0.6620 0.4018
Br 0.0765 0.7571 0.1486
Br 0.5224 0.4499 0.8251
Br 0.4089 0.7450 0.6276
Br 0.9776 0.9499 0.3251
Br 0.2521 0.9631 0.2012

Record 2
Here is a geometry-optimized CdSi3PH27C9Br2 structure from the Materials Project database. Energies are from GGA-PBE.

Results
As for the MP2020-corrected energy: -4.96 eV/atom. As for the space-group type: No. 14. Its formation energy is -294.8 meV/atom.

Cell: 13.8012 12.5461 13.1495 Å, 82.40 90.00 90.00°
Positions (direct):
C 0.7640 0.7209 0.7050
C 0.4074 0.8170 0.4712
C 0.5802 0.1651 0.9829
C 0.8316 0.4060 0.1518
C 0.7377 0.6799 0.2478
C 0.4039 0.9749 0.2723
C 0.7623 0.1799 0.2478
C 0.8306 0.3463 0.3871
C 0.1684 0.5940 0.8482
C 0.0802 0.3349 0.0171
C 0.4198 0.8349 0.0171
C 0.6684 0.9060 0.1518
C 0.0926 0.3170 0.4712
C 0.7360 0.2209 0.7050
C 0.3306 0.1537 0.6129
C 0.6458 0.3944 0.9046
C 0.5961 0.0251 0.7277
C 0.8542 0.8944 0.9046
C 0.1458 0.1056 0.0954
C 0.4319 0.3502 0.9684
C 0.2360 0.2791 0.2950
C 0.9198 0.6651 0.9829
C 0.9039 0.5251 0.7277
C 0.2640 0.7791 0.2950
C 0.6694 0.8463 0.3871
C 0.3542 0.6056 0.0954
C 0.2377 0.8201 0.7522
C 0.0961 0.4749 0.2723
C 0.2623 0.3201 0.7522
C 0.3316 0.0940 0.8482
C 0.0681 0.8502 0.9684
C 0.9074 0.6830 0.5288
C 0.5681 0.6498 0.0316
C 0.9319 0.1498 0.0316
C 0.1694 0.6537 0.6129
C 0.5926 0.1830 0.5288
H 0.7544 0.8058 0.6723
H 0.7055 0.6742 0.6751
H 0.2945 0.3258 0.3249
H 0.1653 0.7196 0.5487
H 0.4431 0.3484 0.0515
H 0.8864 0.4062 0.3983
H 0.6399 0.1293 0.9439
H 0.3837 0.0288 0.8424
H 0.8922 0.5130 0.8110
H 0.7456 0.3058 0.6723
H 0.2685 0.3458 0.8284
H 0.3441 0.5784 0.0198
H 0.6078 0.0130 0.8110
H 0.7458 0.2148 0.7885
H 0.6172 0.2614 0.4897
H 0.0227 0.5025 0.2877
H 0.2456 0.1942 0.3277
H 0.1172 0.2386 0.5103
H 0.7315 0.6542 0.1716
H 0.0155 0.3254 0.4893
H 0.9431 0.1516 0.9485
H 0.5569 0.6516 0.9485
H 0.8681 0.1987 0.0434
H 0.4801 0.8927 0.0077
H 0.8677 0.9662 0.8484
H 0.2055 0.8258 0.3249
H 0.2868 0.6438 0.1157
H 0.0569 0.8484 0.0515
H 0.6869 0.2042 0.2590
H 0.5155 0.1746 0.5107
H 0.6323 0.4662 0.8484
H 0.8524 0.4732 0.6930
H 0.8943 0.6771 0.0600
H 0.2315 0.8458 0.8284
H 0.1319 0.8013 0.9566
H 0.2420 0.5599 0.8476
H 0.6163 0.9712 0.1576
H 0.9801 0.6073 0.9923
H 0.6476 0.9732 0.6930
H 0.3864 0.0938 0.6017
H 0.6136 0.9062 0.3983
H 0.7685 0.1542 0.1716
H 0.1163 0.5288 0.8424
H 0.5822 0.5661 0.0653
H 0.7132 0.3562 0.8843
H 0.3424 0.1232 0.9224
H 0.3828 0.7386 0.5103
H 0.3131 0.7958 0.7410
H 0.0822 0.9339 0.9347
H 0.2213 0.8899 0.6945
H 0.2132 0.1438 0.1157
H 0.1136 0.5938 0.6017
H 0.1476 0.5268 0.3070
H 0.2580 0.0599 0.8476
H 0.1576 0.6232 0.9224
H 0.5227 0.9975 0.7123
H 0.2406 0.6147 0.6095
H 0.6576 0.8768 0.0776
H 0.5199 0.1073 0.9923
H 0.6319 0.6987 0.0434
H 0.1324 0.3801 0.5048
H 0.7213 0.6101 0.3055
H 0.7420 0.9401 0.1524
H 0.2544 0.6942 0.3277
H 0.3601 0.8707 0.0561
H 0.3676 0.8801 0.5048
H 0.3347 0.2196 0.5487
H 0.9845 0.6746 0.5107
H 0.7787 0.1101 0.3055
H 0.0199 0.3927 0.0077
H 0.8837 0.4712 0.1576
H 0.2594 0.1147 0.6095
H 0.3677 0.5338 0.1516
H 0.6057 0.1771 0.0600
H 0.4773 0.0025 0.2877
H 0.2787 0.3899 0.6945
H 0.8828 0.7614 0.4897
H 0.8131 0.7042 0.2590
H 0.9773 0.4975 0.7123
H 0.8676 0.6199 0.4952
H 0.7594 0.3853 0.3905
H 0.3943 0.8229 0.9400
H 0.7945 0.1742 0.6751
H 0.3524 0.0268 0.3070
H 0.8441 0.9216 0.9802
H 0.1323 0.0338 0.1516
H 0.1078 0.4870 0.1890
H 0.1057 0.3229 0.9400
H 0.8601 0.6293 0.9439
H 0.1869 0.2958 0.7410
H 0.3922 0.9870 0.1890
H 0.7542 0.7148 0.7885
H 0.2542 0.7852 0.2115
H 0.8347 0.2804 0.4513
H 0.1559 0.0784 0.0198
H 0.7406 0.8853 0.3905
H 0.6559 0.4216 0.9802
H 0.4178 0.4339 0.9347
H 0.6653 0.7804 0.4513
H 0.4845 0.8254 0.4893
H 0.6324 0.1199 0.4952
H 0.2458 0.2852 0.2115
H 0.3681 0.3013 0.9566
H 0.7580 0.4401 0.1524
H 0.1399 0.3707 0.0561
H 0.9178 0.0661 0.0653
H 0.7868 0.8562 0.8843
H 0.8424 0.3768 0.0776
Br 0.9556 0.8789 0.2479
Br 0.4556 0.6211 0.7521
Br 0.5444 0.3789 0.2479
Br 0.6412 0.5236 0.5158
Br 0.8588 0.0236 0.5158
Br 0.0444 0.1211 0.7521
Br 0.3588 0.4764 0.4842
Br 0.1412 0.9764 0.4842
Si 0.4579 0.7029 0.0908
Si 0.6140 0.1696 0.6708
Si 0.3860 0.8304 0.3292
Si 0.8464 0.2946 0.2611
Si 0.0421 0.2029 0.0908
Si 0.1140 0.3304 0.3292
Si 0.3464 0.2054 0.7389
Si 0.1536 0.7054 0.7389
Si 0.9579 0.7971 0.9092
Si 0.6536 0.7946 0.2611
Si 0.8860 0.6696 0.6708
Si 0.5421 0.2971 0.9092
P 0.9983 0.7755 0.7420
P 0.0017 0.2245 0.2580
P 0.5017 0.2755 0.7420
P 0.4983 0.7245 0.2580
Cd 0.0103 0.9674 0.6440
Cd 0.9897 0.0326 0.3560
Cd 0.5103 0.5326 0.3560
Cd 0.4897 0.4674 0.6440